# 1
Entry from the Materials Project database: NaNiCSO7 after structural relaxation (PBE with a Hubbard U).

abc: 6.5534 5.1828 9.0520
angles: 87.86 90.00 90.00
Positions (direct):
1 Na 0.5241 0.7612 0.7608
2 Na 0.0241 0.2388 0.2392
3 Ni 0.2367 0.2171 0.6486
4 Ni 0.7367 0.7829 0.3514
5 C 0.2556 0.2765 0.9175
6 C 0.7556 0.7235 0.0825
7 S 0.7459 0.2770 0.5743
8 S 0.2459 0.7230 0.4257
9 O 0.7561 0.6925 0.9456
10 O 0.2534 0.0509 0.8603
11 O 0.2557 0.4671 0.8202
12 O 0.9257 0.2157 0.6666
13 O 0.5624 0.1971 0.6616
14 O 0.2545 0.8556 0.5691
15 O 0.7320 0.5631 0.5410
16 O 0.2320 0.4369 0.4590
17 O 0.7545 0.1444 0.4309
18 O 0.0624 0.8029 0.3384
19 O 0.4257 0.7843 0.3334
20 O 0.7557 0.5329 0.1798
21 O 0.7534 0.9491 0.1397
22 O 0.2561 0.3075 0.0544

## Properties
- calculated volume (Å³/atom) = 13.97
- space-group type = No. 4
- E_form (meV per atom) = -1746

=====

# 2
Entry from the Materials Project database: LiMnP4O12 after structural relaxation (PBE with a Hubbard U).

abc: 7.4283 7.4283 18.1138
angles: 90.00 90.00 99.79
Positions (direct):
1 Li 0.2045 0.0990 0.6445
2 Li 0.9010 0.7955 0.8555
3 Li 0.7955 0.9010 0.1445
4 Li 0.0990 0.2045 0.3555
5 Mn 0.5768 0.9655 0.8840
6 Mn 0.0345 0.4232 0.6160
7 Mn 0.4232 0.0345 0.3840
8 Mn 0.9655 0.5768 0.1160
9 P 0.0421 0.7663 0.3478
10 P 0.2337 0.9579 0.1522
11 P 0.2984 0.7877 0.0085
12 P 0.2123 0.7016 0.4915
13 P 0.3778 0.6222 0.7500
14 P 0.6602 0.7597 0.3089
15 P 0.2403 0.3398 0.1911
16 P 0.3557 0.3557 0.5000
17 P 0.6443 0.6443 0.0000
18 P 0.3398 0.2403 0.8089
19 P 0.7597 0.6602 0.6911
20 P 0.6222 0.3778 0.2500
21 P 0.7877 0.2984 0.9915
22 P 0.7016 0.2123 0.5085
23 P 0.7663 0.0421 0.6522
24 P 0.9579 0.2337 0.8478
25 O 0.0426 0.8393 0.1443
26 O 0.1607 0.9574 0.3557
27 O 0.3484 0.9460 0.2166
28 O 0.0540 0.6516 0.2834
29 O 0.1087 0.6836 0.0098
30 O 0.3164 0.8913 0.4902
31 O 0.0763 0.6556 0.4235
32 O 0.3444 0.9237 0.0765
33 O 0.3517 0.8923 0.9381
34 O 0.1077 0.6483 0.5619
35 O 0.4204 0.7895 0.7968
36 O 0.2105 0.5796 0.7032
37 O 0.5034 0.8141 0.3537
38 O 0.1859 0.4966 0.1463
39 O 0.3558 0.5616 0.4779
40 O 0.4384 0.6442 0.0221
41 O 0.8043 0.8363 0.6359
42 O 0.1637 0.1957 0.8641
43 O 0.5422 0.6087 0.6909
44 O 0.3913 0.4578 0.8091
45 O 0.2401 0.3093 0.5690
46 O 0.6907 0.7599 0.9310
47 O 0.1632 0.2948 0.2651
48 O 0.7052 0.8368 0.2349
49 O 0.2948 0.1632 0.7349
50 O 0.8368 0.7052 0.7651
51 O 0.3093 0.2401 0.4310
52 O 0.7599 0.6907 0.0690
53 O 0.4578 0.3913 0.1909
54 O 0.6087 0.5422 0.3091
55 O 0.1957 0.1637 0.1359
56 O 0.8363 0.8043 0.3641
57 O 0.6442 0.4384 0.9779
58 O 0.5616 0.3558 0.5221
59 O 0.4966 0.1859 0.8537
60 O 0.8141 0.5034 0.6463
61 O 0.7895 0.4204 0.2032
62 O 0.5796 0.2105 0.2968
63 O 0.6483 0.1077 0.4381
64 O 0.8923 0.3517 0.0619
65 O 0.6556 0.0763 0.5765
66 O 0.9237 0.3444 0.9235
67 O 0.6836 0.1087 0.9902
68 O 0.8913 0.3164 0.5098
69 O 0.6516 0.0540 0.7166
70 O 0.9460 0.3484 0.7834
71 O 0.9574 0.1607 0.6443
72 O 0.8393 0.0426 0.8557

## Properties
- calculated volume (Å³/atom) = 13.68
- space-group type = No. 20
- excess energy over the best structure of this formula in the dataset (kJ/mol of formula units) = 125
- E_form (meV per atom) = -2503

=====

# 3
Entry from the Materials Project database: TiCrSbO6 after structural relaxation (PBE with a Hubbard U).

abc: 6.6126 6.6125 9.1828
angles: 90.00 90.00 90.00
Positions (direct):
1 Ti 0.5000 0.0000 0.4956
2 Ti 0.9999 0.5000 0.4957
3 Ti 0.0000 0.0000 0.9957
4 Ti 0.5001 0.5000 0.9956
5 Cr 0.0000 0.5000 0.1670
6 Cr 0.5000 0.5000 0.6670
7 Cr 0.5000 0.0000 0.1670
8 Cr 0.0000 0.0000 0.6670
9 Sb 0.5000 0.0000 0.8332
10 Sb 0.0000 0.5000 0.8333
11 Sb 0.0000 0.0000 0.3333
12 Sb 0.5000 0.5000 0.3332
13 O 0.5000 0.3075 0.1649
14 O 0.0000 0.8075 0.1649
15 O 0.5000 0.6925 0.1649
16 O 0.0000 0.1925 0.1649
17 O 0.3075 0.0000 0.6649
18 O 0.8075 0.5000 0.6649
19 O 0.6925 0.0000 0.6649
20 O 0.1925 0.5000 0.6649
21 O 0.5000 0.3034 0.4991
22 O 0.0000 0.8034 0.4991
23 O 0.5000 0.6966 0.4991
24 O 0.0000 0.1966 0.4991
25 O 0.3034 0.0000 0.9991
26 O 0.8034 0.5000 0.9991
27 O 0.6966 0.0000 0.9991
28 O 0.1966 0.5000 0.9991
29 O 0.5000 0.3060 0.8380
30 O 0.0000 0.8060 0.8381
31 O 0.5000 0.6940 0.8380
32 O 0.0000 0.1940 0.8381
33 O 0.3060 0.0000 0.3381
34 O 0.8060 0.5000 0.3381
35 O 0.6940 0.0000 0.3381
36 O 0.1940 0.5000 0.3381

## Properties
- calculated volume (Å³/atom) = 11.15
- E_form (meV per atom) = -2571